No. 1
An optimized crystal structure of Ce3Si3Pt. Source: the Materials Project, functional GGA-PBE.

ΔE_f ... -834 meV per atom

Cell: 4.095 4.186 9.593 Å, 77.40 77.68 90.00°
Element x y z (fractional)
Ce (0.001, 0.001, 0.999)
Ce (0.685, 0.185, 0.630)
Ce (0.315, 0.815, 0.371)
Si (0.859, 0.359, 0.281)
Si (0.140, 0.640, 0.720)
Si (0.565, 0.565, 0.869)
Pt (0.435, 0.435, 0.130)

No. 2
An optimized crystal structure of SnO2. Source: the Materials Project, functional GGA-PBE.

ΔE_f ... -1916 meV per atom

Cell: 6.397 6.397 6.397 Å, 60.00 60.00 60.00°
Element x y z (fractional)
Sn (0.625, 0.625, 0.125)
Sn (0.125, 0.625, 0.625)
Sn (0.625, 0.125, 0.625)
Sn (0.625, 0.625, 0.625)
O (0.391, 0.391, 0.391)
O (0.391, 0.828, 0.391)
O (0.391, 0.391, 0.828)
O (0.828, 0.391, 0.391)
O (0.422, 0.859, 0.859)
O (0.859, 0.859, 0.422)
O (0.859, 0.422, 0.859)
O (0.859, 0.859, 0.859)

No. 3
An optimized crystal structure of Gd3Sc2Al3O12. Source: the Materials Project, functional GGA-PBE.

ΔE_f ... -3788 meV per atom

Cell: 10.848 10.848 10.848 Å, 109.47 109.47 109.47°
Element x y z (fractional)
Gd (0.250, 0.375, 0.125)
Gd (0.750, 0.625, 0.875)
Gd (0.750, 0.125, 0.375)
Gd (0.125, 0.250, 0.375)
Gd (0.375, 0.750, 0.125)
Gd (0.250, 0.875, 0.625)
Gd (0.875, 0.750, 0.625)
Gd (0.625, 0.250, 0.875)
Gd (0.375, 0.125, 0.250)
Gd (0.625, 0.875, 0.750)
Gd (0.125, 0.375, 0.750)
Gd (0.875, 0.625, 0.250)
Sc (0.000, 0.000, 0.000)
Sc (0.500, 0.000, 0.500)
Sc (0.000, 0.500, 0.500)
Sc (0.500, 0.000, 0.000)
Sc (0.500, 0.500, 0.000)
Sc (0.500, 0.500, 0.500)
Sc (0.000, 0.000, 0.500)
Sc (0.000, 0.500, 0.000)
Al (0.250, 0.625, 0.375)
Al (0.750, 0.375, 0.625)
Al (0.750, 0.875, 0.125)
Al (0.375, 0.250, 0.625)
Al (0.625, 0.750, 0.375)
Al (0.250, 0.125, 0.875)
Al (0.125, 0.750, 0.875)
Al (0.875, 0.250, 0.125)
Al (0.625, 0.375, 0.250)
Al (0.375, 0.625, 0.750)
Al (0.875, 0.125, 0.750)
Al (0.125, 0.875, 0.250)
O (0.477, 0.376, 0.288)
O (0.523, 0.624, 0.712)
O (0.588, 0.189, 0.212)
O (0.912, 0.124, 0.601)
O (0.288, 0.477, 0.376)
O (0.311, 0.912, 0.288)
O (0.412, 0.811, 0.788)
O (0.088, 0.876, 0.399)
O (0.712, 0.523, 0.624)
O (0.689, 0.088, 0.712)
O (0.023, 0.311, 0.899)
O (0.212, 0.588, 0.189)
O (0.124, 0.023, 0.212)
O (0.977, 0.689, 0.101)
O (0.788, 0.412, 0.811)
O (0.876, 0.977, 0.788)
O (0.601, 0.912, 0.124)
O (0.189, 0.477, 0.601)
O (0.399, 0.088, 0.876)
O (0.811, 0.523, 0.399)
O (0.899, 0.023, 0.311)
O (0.376, 0.588, 0.899)
O (0.101, 0.977, 0.689)
O (0.624, 0.412, 0.101)
O (0.376, 0.288, 0.477)
O (0.588, 0.899, 0.376)
O (0.624, 0.712, 0.523)
O (0.412, 0.101, 0.624)
O (0.124, 0.601, 0.912)
O (0.023, 0.212, 0.124)
O (0.876, 0.399, 0.088)
O (0.977, 0.788, 0.876)
O (0.311, 0.899, 0.023)
O (0.912, 0.288, 0.311)
O (0.689, 0.101, 0.977)
O (0.088, 0.712, 0.689)
O (0.189, 0.212, 0.588)
O (0.477, 0.601, 0.189)
O (0.811, 0.788, 0.412)
O (0.523, 0.399, 0.811)
O (0.288, 0.311, 0.912)
O (0.712, 0.689, 0.088)
O (0.212, 0.124, 0.023)
O (0.788, 0.876, 0.977)
O (0.899, 0.376, 0.588)
O (0.101, 0.624, 0.412)
O (0.601, 0.189, 0.477)
O (0.399, 0.811, 0.523)

No. 4
An optimized crystal structure of K3NaP4H4O14. Source: the Materials Project, functional GGA-PBE.

ΔE_f ... -2371 meV per atom
Relative energy among the computed polymorphs ... 0.0 meV/atom

Cell: 9.321 9.321 11.170 Å, 80.61 80.61 46.13°
Element x y z (fractional)
K (0.193, 0.528, 0.971)
K (0.472, 0.807, 0.528)
K (0.807, 0.472, 0.028)
K (0.528, 0.193, 0.471)
K (0.801, 0.201, 0.751)
K (0.201, 0.801, 0.251)
Na (0.498, 0.000, 0.000)
Na (0.000, 0.498, 0.500)
P (0.784, 0.826, 0.256)
P (0.174, 0.216, 0.245)
P (0.216, 0.174, 0.745)
P (0.826, 0.784, 0.756)
P (0.676, 0.186, 0.106)
P (0.806, 0.331, 0.392)
P (0.331, 0.806, 0.892)
P (0.186, 0.676, 0.606)
H (0.524, 0.875, 0.234)
H (0.127, 0.474, 0.266)
H (0.474, 0.127, 0.766)
H (0.875, 0.524, 0.734)
H (0.017, 0.988, 0.992)
H (0.988, 0.017, 0.492)
H (0.576, 0.410, 0.233)
H (0.410, 0.576, 0.733)
O (0.679, 0.057, 0.227)
O (0.945, 0.318, 0.274)
O (0.318, 0.945, 0.774)
O (0.057, 0.679, 0.727)
O (0.997, 0.690, 0.200)
O (0.312, 0.002, 0.300)
O (0.002, 0.312, 0.800)
O (0.690, 0.997, 0.700)
O (0.749, 0.807, 0.391)
O (0.193, 0.252, 0.109)
O (0.252, 0.193, 0.609)
O (0.807, 0.749, 0.891)
O (0.660, 0.809, 0.187)
O (0.192, 0.340, 0.314)
O (0.340, 0.192, 0.814)
O (0.809, 0.660, 0.687)
O (0.592, 0.186, 0.003)
O (0.816, 0.405, 0.498)
O (0.405, 0.816, 0.998)
O (0.186, 0.592, 0.503)
O (0.529, 0.400, 0.157)
O (0.605, 0.458, 0.340)
O (0.458, 0.605, 0.840)
O (0.400, 0.529, 0.657)
O (0.884, 0.110, 0.085)
O (0.893, 0.112, 0.418)
O (0.112, 0.893, 0.918)
O (0.110, 0.884, 0.585)

No. 5
An optimized crystal structure of In2Ag3P3O12. Source: the Materials Project, functional GGA-PBE.

ΔE_f ... -2044 meV per atom

Cell: 9.182 9.182 6.722 Å, 73.29 73.29 91.09°
Element x y z (fractional)
In (0.386, 0.073, 0.846)
In (0.073, 0.386, 0.346)
In (0.927, 0.614, 0.654)
In (0.614, 0.927, 0.154)
Ag (0.001, 0.999, 0.750)
Ag (0.277, 0.723, 0.750)
Ag (0.999, 0.001, 0.250)
Ag (0.723, 0.277, 0.250)
Ag (0.500, 0.500, 0.500)
Ag (0.500, 0.500, 0.000)
P (0.732, 0.268, 0.750)
P (0.656, 0.859, 0.639)
P (0.141, 0.344, 0.861)
P (0.859, 0.656, 0.139)
P (0.344, 0.141, 0.361)
P (0.268, 0.732, 0.250)
O (0.019, 0.339, 0.079)
O (0.429, 0.749, 0.281)
O (0.251, 0.571, 0.219)
O (0.827, 0.830, 0.629)
O (0.930, 0.589, 0.329)
O (0.589, 0.930, 0.829)
O (0.252, 0.855, 0.045)
O (0.571, 0.251, 0.719)
O (0.855, 0.252, 0.545)
O (0.411, 0.070, 0.171)
O (0.981, 0.661, 0.921)
O (0.830, 0.827, 0.129)
O (0.748, 0.145, 0.955)
O (0.710, 0.561, 0.174)
O (0.749, 0.429, 0.781)
O (0.339, 0.019, 0.579)
O (0.661, 0.981, 0.421)
O (0.290, 0.439, 0.826)
O (0.070, 0.411, 0.671)
O (0.145, 0.748, 0.455)
O (0.173, 0.170, 0.371)
O (0.439, 0.290, 0.326)
O (0.170, 0.173, 0.871)
O (0.561, 0.710, 0.674)

No. 6
An optimized crystal structure of Ca4Mg4Fe3H22. Source: the Materials Project, functional GGA-PBE.

Maximum piezoelectric response ... 0.142 C/m2
ΔE_f ... -530 meV per atom

Cell: 6.685 6.685 6.685 Å, 90.00 90.00 90.00°
Element x y z (fractional)
Ca (0.291, 0.291, 0.709)
Ca (0.291, 0.709, 0.291)
Ca (0.709, 0.291, 0.291)
Ca (0.709, 0.709, 0.709)
Mg (0.788, 0.788, 0.212)
Mg (0.788, 0.212, 0.788)
Mg (0.212, 0.788, 0.788)
Mg (0.212, 0.212, 0.212)
Fe (0.000, 0.000, 0.500)
Fe (0.000, 0.500, 0.000)
Fe (0.500, 0.000, 0.000)
H (0.000, 0.500, 0.237)
H (0.500, 0.763, 0.000)
H (0.763, 0.000, 0.500)
H (0.000, 0.763, 0.500)
H (0.500, 0.000, 0.237)
H (0.763, 0.500, 0.000)
H (0.000, 0.500, 0.763)
H (0.500, 0.237, 0.000)
H (0.000, 0.237, 0.500)
H (0.500, 0.000, 0.763)
H (0.237, 0.000, 0.500)
H (0.237, 0.500, 0.000)
H (0.000, 0.000, 0.264)
H (0.000, 0.736, 0.000)
H (0.736, 0.000, 0.000)
H (0.000, 0.000, 0.736)
H (0.000, 0.264, 0.000)
H (0.264, 0.000, 0.000)
H (0.627, 0.627, 0.373)
H (0.627, 0.373, 0.627)
H (0.373, 0.627, 0.627)
H (0.373, 0.373, 0.373)